1.
A plane-wave DFT calculation with PBE+U was carried out for a relaxed Mn3Cr2O8 crystal.

a b c (Å): 6.1290 6.1290 5.8933
angles (deg): 90.00 58.67 120.00
With the nearest neighbours (Å) after each atom.
Positions (direct):
Cr 0.5075 0.7537 0.7388  4 O 1.80-1.83
O 0.2274 0.1137 0.1393  1 Cr 1.80
O 0.2518 0.1259 0.6223  1 Cr 1.83
O 0.7470 0.6333 0.1393  1 Cr 1.80
O 0.7530 0.6363 0.6107  1 Cr 1.80
O 0.7470 0.1137 0.1393  1 Cr 1.80
Cr 0.9925 0.9963 0.0112  4 O 1.80-1.83
O 0.2482 0.6241 0.1277  1 Cr 1.83
O 0.7530 0.1167 0.6107  1 Cr 1.80
Mn 0.2500 0.8750 0.3750  6 O 2.12
O 0.2726 0.6363 0.6107  1 Cr 1.80
Mn 0.2500 0.3750 0.3750  6 O 2.12
Mn 0.7500 0.3750 0.3750  6 O 2.12

Calculated values
- Size of the total moment: 1.308 μB per atom
- Formation energy from the elements: -1.9024 eV per atom
- SG: R-3m, No. 166



2.
A plane-wave DFT calculation with PBE+U was carried out for a relaxed Mn13Cr3O32 crystal.

a b c (Å): 8.2774 8.2774 10.1230
angles (deg): 65.90 65.90 89.95
With the nearest neighbours (Å) after each atom.
Positions (direct):
O 0.8525 0.8525 0.2648  3 Mn 1.95
Mn 0.8751 0.6248 0.7500  6 O 1.95
O 0.4928 0.7736 0.9845  2 Mn 1.95, 1 Cr 1.95
O 0.6478 0.6478 0.7351  3 Mn 1.95
O 0.7420 0.5223 0.4851  3 Mn 1.95
O 0.5223 0.7420 0.4851  3 Mn 1.95
O 0.4777 0.2580 0.5149  3 Mn 1.95
O 0.9929 0.2736 0.9844  2 Mn 1.95, 1 Cr 1.96
O 0.0242 0.2432 0.4845  2 Mn 1.95, 1 Cr 1.96
O 0.8835 0.3833 0.7649  2 Mn 1.95, 1 Cr 1.95
Mn 0.2506 0.2506 0.5001  6 O 1.95
O 0.1329 0.1329 0.2656  1 Cr 1.95, 2 Mn 1.95
Cr 0.2501 0.7499 0.0000  6 O 1.95-1.96
O 0.7264 0.0071 0.0156  2 Mn 1.95, 1 Cr 1.96
Mn 0.0000 0.5000 0.0000  6 O 1.95
Mn 0.3752 0.1249 0.2500  6 O 1.95
O 0.0071 0.7264 0.0156  2 Mn 1.95, 1 Cr 1.96
Mn 0.6248 0.8751 0.7500  6 O 1.95
O 0.3980 0.8978 0.2350  3 Mn 1.95
Mn 0.6254 0.8745 0.2502  6 O 1.95
O 0.2736 0.9929 0.9844  2 Mn 1.95, 1 Cr 1.96
O 0.7736 0.4928 0.9845  2 Mn 1.95, 1 Cr 1.95
O 0.8978 0.3980 0.2350  3 Mn 1.95
O 0.6325 0.6325 0.2649  3 Mn 1.95
O 0.2580 0.4777 0.5149  3 Mn 1.95
O 0.8671 0.8671 0.7344  1 Cr 1.95, 2 Mn 1.95
Mn 0.3746 0.1255 0.7498  6 O 1.95
O 0.2432 0.0242 0.4845  2 Mn 1.95, 1 Cr 1.96
Mn 0.1249 0.3752 0.2500  6 O 1.95
O 0.7568 0.9758 0.5155  2 Mn 1.95, 1 Cr 1.96
O 0.2264 0.5072 0.0155  2 Mn 1.95, 1 Cr 1.95
Cr 0.7499 0.2501 0.0000  6 O 1.95-1.96
Mn 0.7494 0.7494 0.4999  6 O 1.95
Cr 0.0000 0.0000 0.5000  6 O 1.95-1.96
O 0.3675 0.3675 0.7351  3 Mn 1.95
O 0.3522 0.3522 0.2649  3 Mn 1.95
O 0.1165 0.6167 0.2351  2 Mn 1.95, 1 Cr 1.95
O 0.1022 0.6020 0.7650  3 Mn 1.95
O 0.3833 0.8835 0.7649  2 Mn 1.95, 1 Cr 1.95
Mn 0.5000 0.5000 0.5000  6 O 1.95
O 0.9758 0.7568 0.5155  2 Mn 1.95, 1 Cr 1.96
O 0.6020 0.1022 0.7650  3 Mn 1.95
Mn 0.5000 0.0000 0.0000  6 O 1.95
O 0.5072 0.2264 0.0155  2 Mn 1.95, 1 Cr 1.95
Mn 0.1255 0.3746 0.7498  6 O 1.95
O 0.6167 0.1165 0.2351  2 Mn 1.95, 1 Cr 1.95
O 0.1475 0.1475 0.7352  3 Mn 1.95
Mn 0.8745 0.6254 0.2502  6 O 1.95

Calculated values
- Size of the total moment: 0.937 μB per atom
- Formation energy from the elements: -1.7768 eV per atom
- SG: C2/m, No. 12



3.
A plane-wave DFT calculation with PBE+U was carried out for a relaxed Mn2CrO6 crystal.

a b c (Å): 6.5048 6.5048 5.7985
angles (deg): 78.28 78.28 25.85
With the nearest neighbours (Å) after each atom.
Positions (direct):
O 0.4890 0.4890 0.7251  2 Cr 1.94, 1 Mn 1.95
Cr 0.0000 0.0000 0.5000  6 O 1.94-1.97
O 0.1578 0.1578 0.3892  2 Mn 1.93, 1 Cr 1.97
O 0.5110 0.5110 0.2749  2 Cr 1.94, 1 Mn 1.95
Mn 0.3326 0.3326 0.8338  6 O 1.93-1.95
Mn 0.6674 0.6674 0.1662  6 O 1.93-1.95
O 0.8230 0.8230 0.0590  3 Mn 1.94
O 0.1770 0.1770 0.9410  3 Mn 1.94
O 0.8422 0.8422 0.6108  2 Mn 1.93, 1 Cr 1.97

Calculated values
- Size of the total moment: 0.889 μB per atom
- Formation energy from the elements: -1.8130 eV per atom
- SG: C2/m, No. 12



4.
A plane-wave DFT calculation with PBE+U was carried out for a relaxed MnCrO4 crystal.

a b c (Å): 5.1077 6.3560 10.7041
angles (deg): 90.00 90.00 90.00
With the nearest neighbours (Å) after each atom.
Positions (direct):
O 0.7673 0.2500 0.3881  1 Cr 1.65
Cr 0.0895 0.2500 0.4045  4 O 1.65-1.69
Mn 0.4644 0.7500 0.7742  4 O 2.09-2.17
O 0.7774 0.9588 0.6704  1 Cr 1.69
Cr 0.4105 0.2500 0.9045  4 O 1.65-1.69
Cr 0.5895 0.7500 0.0955  4 O 1.65-1.69
O 0.2774 0.0412 0.8296  1 Cr 1.69
O 0.2673 0.7500 0.1119  1 Cr 1.65
O 0.3361 0.2500 0.0549  1 Cr 1.65
O 0.6639 0.7500 0.9451  1 Cr 1.65
O 0.7226 0.9588 0.1704  1 Cr 1.69
O 0.2226 0.4588 0.3296  1 Cr 1.69
O 0.1639 0.2500 0.5549  1 Cr 1.65
O 0.7327 0.2500 0.8881  1 Cr 1.65
O 0.2327 0.7500 0.6119  1 Cr 1.65
Mn 0.5356 0.2500 0.2258  4 O 2.09-2.17
O 0.8361 0.7500 0.4451  1 Cr 1.65
Mn 0.0356 0.7500 0.2742  4 O 2.09-2.17
Mn 0.9644 0.2500 0.7258  4 O 2.09-2.17
O 0.7774 0.5412 0.6704  1 Cr 1.69
O 0.2226 0.0412 0.3296  1 Cr 1.69
O 0.2774 0.4588 0.8296  1 Cr 1.69
O 0.7226 0.5412 0.1704  1 Cr 1.69
Cr 0.9105 0.7500 0.5955  4 O 1.65-1.69

Calculated values
- ΔE to the lowest computed polymorph: 4.3 kJ per mole of atoms
- Size of the total moment: 0.833 μB per atom
- Formation energy from the elements: -1.8231 eV per atom
- SG: Pnma, No. 62



5.
A plane-wave DFT calculation with PBE+U was carried out for a relaxed Mn2CrO4 crystal.

a b c (Å): 5.9917 6.0870 5.9922
angles (deg): 118.24 91.16 118.23
With the nearest neighbours (Å) after each atom.
Positions (direct):
Mn 0.8746 0.2511 0.6258  4 O 1.94-2.02
O 0.1208 0.2524 0.8440  2 Mn 1.95-2.05, 1 Cr 2.03
Mn 0.7551 0.4999 0.2456  4 O 2.05-2.09
O 0.1385 0.2941 0.4198  2 Mn 2.02-2.09, 2 Cr 2.05
O 0.1697 0.7938 0.3885  2 Mn 2.02-2.09, 2 Cr 2.05
O 0.6106 0.2056 0.8305  2 Mn 2.02-2.09, 2 Cr 2.05
Mn 0.9955 0.9998 0.0046  4 O 2.05-2.09
Mn 0.3759 0.7508 0.1246  4 O 1.94-2.02
Cr 0.3756 0.7500 0.6243  6 O 2.02-2.05
O 0.5804 0.7054 0.8606  2 Mn 2.02-2.09, 2 Cr 2.05
O 0.5940 0.7524 0.3710  2 Mn 1.94-2.05, 1 Cr 2.02
O 0.1576 0.7476 0.8778  2 Mn 1.94-2.05, 1 Cr 2.02
O 0.6276 0.2475 0.4076  2 Mn 1.94-2.05, 1 Cr 2.02
Cr 0.3742 0.2498 0.6253  6 O 2.02-2.05

Calculated values
- ΔE to the lowest computed polymorph: 0.0 kJ per mole of atoms
- Formation energy from the elements: -2.1895 eV per atom
- SG: Cc, No. 9



6.
A plane-wave DFT calculation with PBE+U was carried out for a relaxed Mn2CrO4 crystal.

a b c (Å): 6.0511 6.0782 10.5104
angles (deg): 75.55 74.59 61.38
With the nearest neighbours (Å) after each atom.
Positions (direct):
O 0.0924 0.6554 0.1160  2 Cr 2.03-2.04, 2 Mn 2.04-2.08
Mn 0.7614 0.7385 0.2503  4 O 1.95-2.08
O 0.3410 0.3730 0.8737  2 Mn 1.95-2.06, 1 Cr 2.04
O 0.5829 0.1532 0.6169  3 Mn 1.99-2.10, 1 Cr 2.06
Mn 0.5000 0.0000 0.0000  4 O 1.96-2.05
Mn 0.5000 0.0000 0.5000  6 O 1.99-2.21
O 0.8657 0.8582 0.8963  2 Cr 2.04-2.05, 2 Mn 2.05-2.09
O 0.6590 0.6270 0.1263  2 Mn 1.95-2.06, 1 Cr 2.04
O 0.3583 0.8959 0.8911  2 Mn 1.96-2.06, 1 Cr 2.03
Mn 0.9299 0.9440 0.6881  4 O 2.05-2.10
O 0.9076 0.3446 0.8840  2 Cr 2.03-2.04, 2 Mn 2.04-2.08
O 0.1453 0.6126 0.6091  2 Cr 2.02, 2 Mn 2.05-2.18
Mn 0.2386 0.2615 0.7497  4 O 1.95-2.08
O 0.6343 0.6422 0.6036  2 Mn 2.04-2.09, 2 Cr 2.05
O 0.1205 0.1666 0.6261  2 Mn 1.95-2.06, 1 Cr 2.04
O 0.8547 0.3874 0.3909  2 Cr 2.02, 2 Mn 2.05-2.18
Mn 0.4353 0.4380 0.1882  4 O 2.06-2.09
O 0.1343 0.1418 0.1037  2 Cr 2.04-2.05, 2 Mn 2.05-2.09
O 0.3657 0.3578 0.3964  2 Mn 2.04-2.09, 2 Cr 2.05
O 0.4171 0.8468 0.3831  3 Mn 1.99-2.10, 1 Cr 2.06
Cr 0.0000 0.5000 0.5000  6 O 2.02-2.05
O 0.6417 0.1041 0.1089  2 Mn 1.96-2.06, 1 Cr 2.03
O 0.8795 0.8334 0.3739  2 Mn 1.95-2.06, 1 Cr 2.04
Cr 0.0000 0.0000 0.0000  6 O 2.03-2.05
Mn 0.0701 0.0560 0.3119  4 O 2.05-2.10
Mn 0.5647 0.5620 0.8118  4 O 2.06-2.09
Cr 0.5000 0.5000 0.5000  6 O 2.02-2.06
Cr 0.0000 0.5000 0.0000  6 O 2.03-2.04

Calculated values
- ΔE to the lowest computed polymorph: 1.1 kJ per mole of atoms
- Formation energy from the elements: -2.1783 eV per atom
- SG: P-1, No. 2



7.
A plane-wave DFT calculation with PBE+U was carried out for a relaxed Mn3Cr5O16 crystal.

a b c (Å): 5.8243 5.8128 8.8789
angles (deg): 90.01 90.21 119.94
With the nearest neighbours (Å) after each atom.
Positions (direct):
O 0.5235 0.4763 0.8377  1 Mn 1.92, 2 Cr 1.95-1.98
O 0.9914 0.9957 0.3170  1 Mn 1.92, 2 Cr 1.94
Mn 0.8299 0.1682 0.7117  6 O 1.91-1.98
O 0.6615 0.8307 0.6012  1 Cr 1.90, 2 Mn 1.96
O 0.4768 0.5225 0.3392  1 Mn 1.92, 2 Cr 1.95-1.99
O 0.3447 0.1723 0.1074  3 Cr 1.94-1.95
O 0.8332 0.1718 0.1039  2 Cr 1.89-1.95, 1 Mn 1.98
O 0.9925 0.9963 0.8166  2 Mn 1.92, 1 Cr 1.97
Cr 0.3398 0.6699 0.4887  6 O 1.90-1.97
O 0.0553 0.5277 0.3369  3 Cr 1.94-1.97
O 0.5235 0.0473 0.8377  1 Mn 1.92, 2 Cr 1.95-1.98
Mn 0.8299 0.6618 0.7117  6 O 1.91-1.98
O 0.1725 0.8343 0.6044  2 Cr 1.88-1.96, 1 Mn 1.98
Cr 0.3282 0.1641 0.7042  6 O 1.88-1.98
O 0.6743 0.3371 0.5992  2 Mn 1.91, 1 Cr 1.98
O 0.1725 0.3381 0.6044  2 Cr 1.88-1.96, 1 Mn 1.98
Cr 0.6661 0.3331 0.9867  6 O 1.95-1.98
Cr 0.1606 0.3291 0.2070  6 O 1.89-1.99
Mn 0.6574 0.8287 0.2130  6 O 1.90-1.98
O 0.8331 0.6612 0.1039  2 Cr 1.89-1.95, 1 Mn 1.98
O 0.9574 0.4787 0.8384  2 Mn 1.93, 1 Cr 1.98
O 0.3385 0.6693 0.0985  1 Mn 1.90, 2 Cr 1.97
O 0.4769 0.9544 0.3393  1 Mn 1.92, 2 Cr 1.96-1.99
Cr 0.1606 0.8315 0.2072  6 O 1.89-1.99

Calculated values
- Size of the total moment: 0.792 μB per atom
- Formation energy from the elements: -1.8801 eV per atom
- SG: Cm, No. 8



8.
A plane-wave DFT calculation with PBE+U was carried out for a relaxed MnCr3P4O16 crystal.

a b c (Å): 5.8375 4.8020 9.9123
angles (deg): 89.30 90.00 90.00
With the nearest neighbours (Å) after each atom.
Positions (direct):
P 0.0000 0.5857 0.0954  4 O 1.52-1.57
O 0.5000 0.7266 0.8898  1 P 1.52
O 0.7042 0.2650 0.8273  1 P 1.60
P 0.0000 0.9204 0.5937  4 O 1.52-1.59
O 0.2983 0.2368 0.3284  1 P 1.59
O 0.0000 0.6574 0.9452  1 P 1.52
O 0.2073 0.7249 0.1696  1 P 1.57
Cr 0.5000 0.5289 0.2270  6 O 1.98-2.08
P 0.5000 0.0828 0.4067  4 O 1.52-1.59
O 0.5000 0.3237 0.0544  1 P 1.51
O 0.0000 0.2344 0.6094  1 P 1.52
O 0.7927 0.7249 0.1696  1 P 1.57
O 0.2958 0.2650 0.8273  1 P 1.60
O 0.5000 0.7696 0.3890  1 P 1.52
O 0.5000 0.1661 0.5541  1 P 1.52
O 0.7958 0.7684 0.6712  1 P 1.59
O 0.7017 0.2368 0.3284  1 P 1.59
O 0.0000 0.8425 0.4445  1 P 1.53
O 0.2042 0.7684 0.6712  1 P 1.59
Cr 0.5000 0.9721 0.7301  6 O 1.96-2.09
O 0.0000 0.2649 0.1135  1 P 1.55
Cr 0.0000 0.4706 0.7703  6 O 1.96-2.10
Mn 0.0000 0.0528 0.2768  4 O 1.90-2.02
P 0.5000 0.4116 0.9071  4 O 1.51-1.60

Calculated values
- Size of the total moment: 0.542 μB per atom
- Formation energy from the elements: -2.5258 eV per atom
- SG: Pm, No. 6